Record 1
A relaxed KTi6Se8 crystal. Source: the Materials Project database, functional PBE.

Unit cell a=9.9526 b=9.9526 c=3.5875 alpha=90.00 beta=90.00 gamma=120.00
Last column: nearest neighbours and their distance in Å.
Fractional coordinates of all 15 atoms:
1 K 0.0000 0.0000 0.0000  6 Se 3.39, 2 K 3.59
2 Ti 0.1295 0.6373 0.7505  6 Se 2.55-2.69
3 Ti 0.3627 0.4922 0.7505  6 Se 2.55-2.69
4 Ti 0.4922 0.1295 0.2495  6 Se 2.55-2.69
5 Ti 0.5078 0.8705 0.7505  6 Se 2.55-2.69
6 Ti 0.6373 0.5078 0.2495  6 Se 2.55-2.69
7 Ti 0.8705 0.3627 0.2495  6 Se 2.55-2.69
8 Se 0.0506 0.3505 0.7482  4 Ti 2.55-2.69
9 Se 0.2999 0.9494 0.7482  4 Ti 2.55-2.69
10 Se 0.3333 0.6667 0.2501  6 Ti 2.61
11 Se 0.3505 0.2999 0.2518  4 Ti 2.55-2.69
12 Se 0.6495 0.7001 0.7482  4 Ti 2.55-2.69
13 Se 0.6667 0.3333 0.7499  6 Ti 2.61
14 Se 0.7001 0.0506 0.2518  4 Ti 2.55-2.69
15 Se 0.9494 0.6495 0.2518  4 Ti 2.55-2.69

Summary:
Energy relative to the elements   -1470 meV per atom
Space-group type   P-3
E (MP2020)   -6.567 eV/atom

Record 2
A relaxed KRb2RuF6 crystal. Source: the Materials Project database, functional PBE.

Unit cell a=6.4455 b=6.4455 c=6.4455 alpha=60.00 beta=60.00 gamma=60.00
Last column: nearest neighbours and their distance in Å.
Fractional coordinates of all 10 atoms:
1 K 0.0000 0.0000 0.0000  6 F 2.53
2 Rb 0.2500 0.2500 0.2500  12 F 3.23
3 Rb 0.7500 0.7500 0.7500  12 F 3.23
4 Ru 0.5000 0.5000 0.5000  6 F 2.03
5 F 0.2776 0.2776 0.7224  1 Ru 2.03
6 F 0.2776 0.7224 0.2776  1 Ru 2.03
7 F 0.2776 0.7224 0.7224  1 Ru 2.03
8 F 0.7224 0.2776 0.2776  1 Ru 2.03
9 F 0.7224 0.2776 0.7224  1 Ru 2.03
10 F 0.7224 0.7224 0.2776  1 Ru 2.03

Summary:
Energy relative to the elements   -2612 meV per atom
Space-group type   Fm-3m
E (MP2020)   -4.995 eV/atom

Record 3
A relaxed BaBiO3 crystal. Source: the Materials Project database, functional PBE.

Unit cell a=6.2800 b=6.2440 c=10.7945 alpha=90.00 beta=125.31 gamma=90.00
Last column: nearest neighbours and their distance in Å.
Fractional coordinates of all 20 atoms:
1 Ba 0.2427 0.0134 0.2490  6 O 2.75-3.03
2 Ba 0.2427 0.4866 0.7490  6 O 2.75-3.03
3 Ba 0.7573 0.5134 0.2510  6 O 2.75-3.03
4 Ba 0.7573 0.9866 0.7510  6 O 2.75-3.03
5 Bi 0.0000 0.0000 0.5000  6 O 2.17
6 Bi 0.0000 0.5000 0.0000  6 O 2.17
7 Bi 0.5000 0.0000 0.0000  6 O 2.31-2.32
8 Bi 0.5000 0.5000 0.5000  6 O 2.31-2.32
9 O 0.1856 0.2399 0.9615  2 Bi 2.17-2.32
10 O 0.1856 0.2601 0.4615  2 Bi 2.17-2.32
11 O 0.2182 0.7275 0.9616  2 Bi 2.17-2.31
12 O 0.2182 0.7725 0.4616  2 Bi 2.17-2.31
13 O 0.3114 0.0082 0.7414  2 Bi 2.17-2.32
14 O 0.3114 0.4918 0.2414  2 Bi 2.17-2.32
15 O 0.6886 0.5082 0.7586  2 Bi 2.17-2.32
16 O 0.6886 0.9918 0.2586  2 Bi 2.17-2.32
17 O 0.7818 0.2275 0.5384  2 Bi 2.17-2.31
18 O 0.7818 0.2725 0.0384  2 Bi 2.17-2.31
19 O 0.8144 0.7399 0.5385  2 Bi 2.17-2.32
20 O 0.8144 0.7601 0.0385  2 Bi 2.17-2.32

Summary:
Energy relative to the elements   -2233 meV per atom
Space-group type   P2_1/c
E (MP2020)   -6.364 eV/atom

Record 4
A relaxed U2Al3Os crystal. Source: the Materials Project database, functional PBE.

Unit cell a=5.3432 b=5.3432 c=8.8935 alpha=90.00 beta=90.00 gamma=120.00
Last column: nearest neighbours and their distance in Å.
Fractional coordinates of all 12 atoms:
1 U 0.3333 0.6667 0.0517  9 Al 3.10-3.20, 3 Os 3.12, 3 U 3.22
2 U 0.3333 0.6667 0.4483  9 Al 3.10-3.20, 3 Os 3.12, 3 U 3.22
3 U 0.6667 0.3333 0.5517  9 Al 3.10-3.20, 3 Os 3.12, 3 U 3.22
4 U 0.6667 0.3333 0.9483  9 Al 3.10-3.20, 3 Os 3.12, 3 U 3.22
5 Al 0.1655 0.3310 0.7500  4 Al 2.65-2.69, 2 Os 2.70
6 Al 0.1655 0.8345 0.7500  4 Al 2.65-2.69, 2 Os 2.70
7 Al 0.3310 0.1655 0.2500  4 Al 2.65-2.69, 2 Os 2.70
8 Al 0.6690 0.8345 0.7500  4 Al 2.65-2.69, 2 Os 2.70
9 Al 0.8345 0.1655 0.2500  4 Al 2.65-2.69, 2 Os 2.70
10 Al 0.8345 0.6690 0.2500  4 Al 2.65-2.69, 2 Os 2.70
11 Os 0.0000 0.0000 0.0000  6 Al 2.70
12 Os 0.0000 0.0000 0.5000  6 Al 2.70

Summary:
Energy relative to the elements   -254 meV per atom
Space-group type   P6_3/mmc

Record 5
A relaxed K2ZnH12S2O14 crystal. Source: the Materials Project database, functional PBE.

Unit cell a=7.2894 b=11.9416 c=9.8261 alpha=90.00 beta=108.30 gamma=90.00
Last column: nearest neighbours and their distance in Å.
Fractional coordinates of all 62 atoms:
1 K 0.1463 0.1858 0.3204  5 O 2.86-2.99, 2 H 2.93-3.16
2 K 0.1463 0.3142 0.8204  5 O 2.86-2.99, 2 H 2.93-3.16
3 K 0.8537 0.6858 0.1796  5 O 2.86-2.99, 2 H 2.93-3.16
4 K 0.8537 0.8142 0.6796  5 O 2.86-2.99, 2 H 2.93-3.16
5 Zn 0.5000 0.0000 0.0000  4 O 1.99-2.03
6 Zn 0.5000 0.5000 0.5000  4 O 1.99-2.03
7 H 0.0838 0.0429 0.8351  1 O 0.98
8 H 0.0838 0.4571 0.3351  1 O 0.98
9 H 0.1283 0.5515 0.6622  1 O 1.00
10 H 0.1283 0.9485 0.1622  1 O 1.00
11 H 0.1994 0.7034 0.4696  1 O 0.98
12 H 0.1994 0.7966 0.9696  1 O 0.98
13 H 0.3877 0.6294 0.2164  1 O 0.98
14 H 0.3877 0.8706 0.7164  1 O 0.98
15 H 0.4234 0.2296 0.6038  1 O 1.00
16 H 0.4234 0.2704 0.1038  1 O 1.00
17 H 0.4436 0.6296 0.8277  1 O 0.97
18 H 0.4436 0.8704 0.3277  1 O 0.97
19 H 0.5564 0.1296 0.6723  1 O 0.97
20 H 0.5564 0.3704 0.1723  1 O 0.97
21 H 0.5766 0.7296 0.8962  1 O 1.00
22 H 0.5766 0.7704 0.3962  1 O 1.00
23 H 0.6123 0.1294 0.2836  1 O 0.98
24 H 0.6123 0.3706 0.7836  1 O 0.98
25 H 0.8006 0.2034 0.0304  1 O 0.98
26 H 0.8006 0.2966 0.5304  1 O 0.98
27 H 0.8717 0.0515 0.8378  1 O 1.00
28 H 0.8717 0.4485 0.3378  1 O 1.00
29 H 0.9162 0.5429 0.6649  1 O 0.98
30 H 0.9162 0.9571 0.1649  1 O 0.98
31 S 0.1703 0.6136 0.0027  2 O 1.67-1.68
32 S 0.1703 0.8864 0.5027  2 O 1.67-1.68
33 S 0.8297 0.1136 0.4973  2 O 1.67-1.68
34 S 0.8297 0.3864 0.9973  2 O 1.67-1.68
35 O 0.0487 0.5517 0.7288  2 H 0.98-1.00
36 O 0.0487 0.9483 0.2288  2 H 0.98-1.00
37 O 0.0921 0.7445 0.9625  1 H 0.98
38 O 0.0921 0.7555 0.4625  1 H 0.98
39 O 0.2262 0.1028 0.0582  2 O 1.47
40 O 0.2262 0.3972 0.5582  2 O 1.47
41 O 0.2486 0.6162 0.1827  1 H 0.98
42 O 0.2486 0.8838 0.6827  1 H 0.98
43 O 0.2615 0.5180 0.5552  1 O 1.47
44 O 0.2615 0.9820 0.0552  1 O 1.47
45 O 0.3808 0.1518 0.0108  1 O 1.47
46 O 0.3808 0.3482 0.5108  1 O 1.47
47 O 0.4246 0.1564 0.6535  2 H 0.97-1.00
48 O 0.4246 0.3436 0.1535  2 H 0.97-1.00
49 O 0.5754 0.6564 0.8465  2 H 0.97-1.00
50 O 0.5754 0.8436 0.3465  2 H 0.97-1.00
51 O 0.6192 0.6518 0.4892  1 O 1.47
52 O 0.6192 0.8482 0.9892  1 O 1.47
53 O 0.7385 0.0180 0.9448  1 O 1.47
54 O 0.7385 0.4820 0.4448  1 O 1.47
55 O 0.7514 0.1162 0.3173  1 H 0.98
56 O 0.7514 0.3838 0.8173  1 H 0.98
57 O 0.7738 0.6028 0.4418  2 O 1.47
58 O 0.7738 0.8972 0.9418  2 O 1.47
59 O 0.9079 0.2445 0.5375  1 H 0.98
60 O 0.9079 0.2555 0.0375  1 H 0.98
61 O 0.9513 0.0517 0.7712  2 H 0.98-1.00
62 O 0.9513 0.4483 0.2712  2 H 0.98-1.00

Summary:
Energy relative to the elements   -1086 meV per atom
Polymorph energy (0 for the lowest one)   545 meV/atom
Space-group type   P2_1/c
E (MP2020)   -5.013 eV/atom

Record 6
A relaxed TiSi7H48C16O2 crystal. Source: the Materials Project database, functional PBE.

Unit cell a=10.5251 b=10.6149 c=16.5076 alpha=79.24 beta=88.22 gamma=86.61
Last column: nearest neighbours and their distance in Å.
Fractional coordinates of all 148 atoms:
1 Ti 0.1795 0.4008 0.1338  2 O 1.80-1.82
2 Ti 0.8205 0.5992 0.8662  2 O 1.80-1.82
3 Si 0.0138 0.2192 0.7850  3 C 1.89
4 Si 0.1916 0.6776 0.2003  1 O 1.70
5 Si 0.2399 0.1828 0.4224  3 C 1.89-1.90
6 Si 0.2758 0.5560 0.3281  2 C 1.90
7 Si 0.3255 0.3356 0.3129  1 O 1.70
8 Si 0.3280 0.8270 0.1182  3 C 1.89
9 Si 0.4531 0.7081 0.7106  3 C 1.88-1.89
10 Si 0.5469 0.2919 0.2894  3 C 1.88-1.89
11 Si 0.6720 0.1730 0.8818  3 C 1.89
12 Si 0.6745 0.6644 0.6871  1 O 1.70
13 Si 0.7242 0.4440 0.6719  2 C 1.90
14 Si 0.7601 0.8172 0.5776  3 C 1.89-1.90
15 Si 0.8084 0.3224 0.7997  1 O 1.70
16 Si 0.9862 0.7808 0.2150  3 C 1.89
17 H 0.0165 0.2265 0.1104  1 C 1.10
18 H 0.0162 0.8675 0.3454  1 C 1.10
19 H 0.0172 0.0575 0.9173  1 C 1.10
20 H 0.0218 0.1867 0.3640  1 C 1.10
21 H 0.0228 0.1226 0.4714  1 C 1.10
22 H 0.0245 0.2915 0.4366  1 C 1.10
23 H 0.0447 0.6171 0.9364  1 C 1.10
24 H 0.0451 0.9861 0.2564  1 C 1.10
25 H 0.0613 0.6699 0.8273  1 C 1.10
26 H 0.0645 0.5218 0.4058  1 C 1.10
27 H 0.0739 0.2055 0.9333  1 C 1.10
28 H 0.1093 0.3865 0.6764  1 C 1.10
29 H 0.1136 0.0528 0.7130  1 C 1.10
30 H 0.1335 0.4187 0.7770  1 C 1.10
31 H 0.1341 0.6647 0.4209  1 C 1.10
32 H 0.1730 0.1018 0.8827  1 C 1.10
33 H 0.1787 0.0238 0.1000  1 C 1.10
34 H 0.1946 0.5131 0.4739  1 C 1.10
35 H 0.2192 0.8189 0.9849  1 C 1.10
36 H 0.2276 0.2954 0.7407  1 C 1.10
37 H 0.2333 0.9460 0.4565  1 C 1.10
38 H 0.2373 0.4348 0.9730  1 C 1.10
39 H 0.2508 0.7153 0.6364  1 C 1.10
40 H 0.2606 0.1298 0.5745  1 C 1.10
41 H 0.2655 0.2982 0.5410  1 C 1.10
42 H 0.2669 0.9928 0.3494  1 C 1.10
43 H 0.2773 0.0194 0.1863  1 C 1.10
44 H 0.3015 0.2803 0.0220  1 C 1.10
45 H 0.3022 0.6193 0.8219  1 C 1.10
46 H 0.3224 0.8839 0.7559  1 C 1.10
47 H 0.3408 0.0619 0.0848  1 C 1.10
48 H 0.3533 0.7085 0.9996  1 C 1.10
49 H 0.3559 0.5912 0.6106  1 C 1.10
50 H 0.3756 0.8749 0.9681  1 C 1.10
51 H 0.3778 0.7537 0.5638  1 C 1.10
52 H 0.3819 0.4221 0.0284  1 C 1.10
53 H 0.3893 0.9894 0.4218  1 C 1.10
54 H 0.4011 0.7282 0.3668  1 C 1.10
55 H 0.4025 0.1973 0.5287  1 C 1.10
56 H 0.4051 0.4942 0.7945  1 C 1.10
57 H 0.4340 0.9503 0.6785  1 C 1.10
58 H 0.4470 0.1193 0.8967  1 C 1.10
59 H 0.4504 0.5745 0.4229  1 C 1.10
60 H 0.4557 0.2863 0.8583  1 C 1.10
61 H 0.4605 0.5971 0.8581  1 C 1.10
62 H 0.4831 0.8948 0.7818  1 C 1.10
63 H 0.4840 0.1737 0.7908  1 C 1.10
64 H 0.4964 0.3772 0.6815  1 C 1.10
65 H 0.5036 0.6228 0.3185  1 C 1.10
66 H 0.5160 0.8263 0.2092  1 C 1.10
67 H 0.5169 0.1052 0.2182  1 C 1.10
68 H 0.5395 0.4029 0.1419  1 C 1.10
69 H 0.5443 0.7137 0.1417  1 C 1.10
70 H 0.5496 0.4255 0.5771  1 C 1.10
71 H 0.5530 0.8807 0.1033  1 C 1.10
72 H 0.5660 0.0497 0.3215  1 C 1.10
73 H 0.5949 0.5058 0.2055  1 C 1.10
74 H 0.5975 0.8027 0.4713  1 C 1.10
75 H 0.5989 0.2718 0.6332  1 C 1.10
76 H 0.6107 0.0106 0.5782  1 C 1.10
77 H 0.6181 0.5779 0.9716  1 C 1.10
78 H 0.6222 0.2463 0.4362  1 C 1.10
79 H 0.6244 0.1251 0.0319  1 C 1.10
80 H 0.6441 0.4088 0.3894  1 C 1.10
81 H 0.6467 0.2915 0.0004  1 C 1.10
82 H 0.6592 0.9381 0.9152  1 C 1.10
83 H 0.6776 0.1161 0.2441  1 C 1.10
84 H 0.6978 0.3807 0.1781  1 C 1.10
85 H 0.6985 0.7197 0.9780  1 C 1.10
86 H 0.7227 0.9806 0.8137  1 C 1.10
87 H 0.7331 0.0072 0.6506  1 C 1.10
88 H 0.7345 0.7018 0.4590  1 C 1.10
89 H 0.7394 0.8702 0.4255  1 C 1.10
90 H 0.7492 0.2847 0.3636  1 C 1.10
91 H 0.7627 0.5652 0.0270  1 C 1.10
92 H 0.7667 0.0540 0.5435  1 C 1.10
93 H 0.7724 0.7046 0.2593  1 C 1.10
94 H 0.7808 0.1811 0.0151  1 C 1.10
95 H 0.8054 0.4869 0.5261  1 C 1.10
96 H 0.8213 0.9762 0.9000  1 C 1.10
97 H 0.8270 0.8982 0.1173  1 C 1.10
98 H 0.8659 0.3353 0.5791  1 C 1.10
99 H 0.8665 0.5813 0.2230  1 C 1.10
100 H 0.8864 0.9472 0.2870  1 C 1.10
101 H 0.8907 0.6135 0.3236  1 C 1.10
102 H 0.9261 0.7945 0.0667  1 C 1.10
103 H 0.9355 0.4782 0.5942  1 C 1.10
104 H 0.9387 0.3301 0.1727  1 C 1.10
105 H 0.9549 0.0139 0.7436  1 C 1.10
106 H 0.9553 0.3829 0.0636  1 C 1.10
107 H 0.9755 0.7085 0.5634  1 C 1.10
108 H 0.9772 0.8774 0.5286  1 C 1.10
109 H 0.9782 0.8133 0.6360  1 C 1.10
110 H 0.9828 0.9425 0.0827  1 C 1.10
111 H 0.9838 0.1325 0.6546  1 C 1.10
112 H 0.9835 0.7735 0.8896  1 C 1.10
113 C 0.0019 0.3271 0.1187  3 H 1.10
114 C 0.0153 0.0930 0.7175  3 H 1.10
115 C 0.0600 0.1981 0.4232  3 H 1.10
116 C 0.0741 0.1388 0.8898  3 H 1.10
117 C 0.1316 0.3424 0.7404  3 H 1.10
118 C 0.1546 0.5640 0.4153  3 H 1.10
119 C 0.2750 0.9984 0.1237  3 H 1.10
120 C 0.2874 0.0120 0.4106  3 H 1.10
121 C 0.2881 0.3820 0.0274  3 H 1.10
122 C 0.2980 0.2048 0.5259  3 H 1.10
123 C 0.3171 0.8046 0.0077  3 H 1.10
124 C 0.3508 0.6903 0.6216  3 H 1.10
125 C 0.4009 0.5934 0.8052  3 H 1.10
126 C 0.4215 0.8755 0.7335  3 H 1.10
127 C 0.4226 0.6274 0.3617  3 H 1.10
128 C 0.4985 0.1912 0.8533  3 H 1.10
129 C 0.5015 0.8088 0.1467  3 H 1.10
130 C 0.5774 0.3726 0.6383  3 H 1.10
131 C 0.5785 0.1245 0.2665  3 H 1.10
132 C 0.5991 0.4066 0.1948  3 H 1.10
133 C 0.6492 0.3097 0.3784  3 H 1.10
134 C 0.6829 0.1954 0.9923  3 H 1.10
135 C 0.7020 0.7952 0.4741  3 H 1.10
136 C 0.7119 0.6180 0.9726  3 H 1.10
137 C 0.7126 0.9880 0.5894  3 H 1.10
138 C 0.7250 0.0016 0.8763  3 H 1.10
139 C 0.8454 0.4360 0.5847  3 H 1.10
140 C 0.8684 0.6576 0.2596  3 H 1.10
141 C 0.9259 0.8612 0.1102  3 H 1.10
142 C 0.9400 0.8019 0.5768  3 H 1.10
143 C 0.9847 0.9070 0.2825  3 H 1.10
144 C 0.9981 0.6729 0.8813  3 H 1.10
145 O 0.1618 0.5684 0.1407  1 Si 1.70, 1 Ti 1.80
146 O 0.2562 0.3119 0.2259  1 Si 1.70, 1 Ti 1.82
147 O 0.7438 0.6881 0.7741  1 Si 1.70, 1 Ti 1.82
148 O 0.8382 0.4316 0.8593  1 Si 1.70, 1 Ti 1.80

Summary:
Energy relative to the elements   -299 meV per atom
Space-group type   P-1
E (MP2020)   -5.248 eV/atom

Record 7
A relaxed Cs3GdCl6 crystal. Source: the Materials Project database, functional PBE.

Unit cell a=8.4301 b=8.4301 c=8.4301 alpha=60.00 beta=60.00 gamma=60.00
Last column: nearest neighbours and their distance in Å.
Fractional coordinates of all 10 atoms:
1 Cs 0.0000 0.0000 0.0000  6 Cl 3.29
2 Cs 0.2500 0.2500 0.2500  12 Cl 4.23
3 Cs 0.7500 0.7500 0.7500  12 Cl 4.23
4 Gd 0.5000 0.5000 0.5000  6 Cl 2.67
5 Cl 0.2758 0.2758 0.7242  1 Gd 2.67
6 Cl 0.2758 0.7242 0.2758  1 Gd 2.67
7 Cl 0.2758 0.7242 0.7242  1 Gd 2.67
8 Cl 0.7242 0.2758 0.2758  1 Gd 2.67
9 Cl 0.7242 0.2758 0.7242  1 Gd 2.67
10 Cl 0.7242 0.7242 0.2758  1 Gd 2.67

Summary:
Energy relative to the elements   -2477 meV per atom
Space-group type   Fm-3m
E (MP2020)   -5.263 eV/atom

Record 8
A relaxed CeUZn17 crystal. Source: the Materials Project database, functional PBE.

Unit cell a=6.8265 b=6.8265 c=6.8265 alpha=82.30 beta=82.30 gamma=82.30
Last column: nearest neighbours and their distance in Å.
Fractional coordinates of all 19 atoms:
1 Ce 0.0000 0.0000 0.0000  19 Zn 3.13-3.47
2 U 0.6705 0.6705 0.6705  16 Zn 3.10-3.42
3 Zn 0.0379 0.3366 0.6324  8 Zn 2.60-2.79
4 Zn 0.0379 0.6324 0.3366  8 Zn 2.60-2.79
5 Zn 0.1763 0.6868 0.6868  9 Zn 2.56-2.85
6 Zn 0.2352 0.2352 0.2352  13 Zn 2.70-2.99
7 Zn 0.3366 0.0379 0.6324  8 Zn 2.60-2.79
8 Zn 0.3365 0.3365 0.8348  10 Zn 2.60-2.75
9 Zn 0.3366 0.6324 0.0379  8 Zn 2.60-2.79
10 Zn 0.3365 0.8348 0.3365  10 Zn 2.60-2.75
11 Zn 0.4379 0.4379 0.4379  13 Zn 2.70-3.00
12 Zn 0.4969 0.9823 0.9823  8 Zn 2.56-2.79
13 Zn 0.6324 0.0379 0.3366  8 Zn 2.60-2.79
14 Zn 0.6324 0.3366 0.0379  8 Zn 2.60-2.79
15 Zn 0.6868 0.1763 0.6868  9 Zn 2.56-2.85
16 Zn 0.6868 0.6868 0.1763  9 Zn 2.56-2.85
17 Zn 0.8348 0.3365 0.3365  10 Zn 2.60-2.75
18 Zn 0.9823 0.4969 0.9823  8 Zn 2.56-2.79
19 Zn 0.9823 0.9823 0.4969  8 Zn 2.56-2.79

Summary:
Energy relative to the elements   -149 meV per atom
Space-group type   R3m

Question: Among the records above, which one has the highest energy relative to the elements?
Answer: CeUZn17

Question: Number 8 is which compound?
Answer: CeUZn17

Question: Look up the energy relative to the elements of the seventh one.
Answer: -2477 meV per atom